# 1
# CeCo3B2

A relaxed CeCo3B2 crystal (PBE-GGA, the Materials Project).

Output
calculated total energy = -0.5336 Ry per atom

CIF file:
```
data_CeCo3B2
_chemical_formula_sum 'Ce1 Co3 B2'
_symmetry_space_group_name_H-M 'P 6/m m m'
_symmetry_Int_Tables_number 191
_symmetry_space_group_name_Hall '-P 6 2'
_cell_length_a 5.0387
_cell_length_b 5.0387
_cell_length_c 3.0214
_cell_angle_alpha 90.00
_cell_angle_beta 90.00
_cell_angle_gamma 120.00
loop_
_atom_site_label
_atom_site_type_symbol
_atom_site_fract_x
_atom_site_fract_y
_atom_site_fract_z
Ce1 Ce 0.0000 0.0000 0.0000
Co1 Co 0.0000 0.5000 0.5000
B1 B 0.3333 0.6667 0.0000
```

=====

# 2
# Li2Ti3Ga3O12

A relaxed Li2Ti3Ga3O12 crystal (PBE-GGA, the Materials Project).

Output
MP2020-corrected energy = -0.2766 hartree per atom
calculated total energy = -0.5229 Ry per atom

CIF file:
```
data_Li2Ti3Ga3O12
_chemical_formula_sum 'Li8 Ti12 Ga12 O48'
_symmetry_space_group_name_H-M 'C 1 2/m 1'
_symmetry_Int_Tables_number 12
_cell_length_a 10.286
_cell_length_b 18.102
_cell_length_c 5.997
_cell_angle_alpha 90.00
_cell_angle_beta 125.60
_cell_angle_gamma 90.00
loop_
_symmetry_equiv_pos_as_xyz
'x,y,z'
'-x,-y,-z'
'-x,y,-z'
'x,-y,z'
'x+1/2,y+1/2,z'
'-x+1/2,-y+1/2,-z'
'-x+1/2,y+1/2,-z'
'x+1/2,-y+1/2,z'
loop_
_atom_site_label
_atom_site_type_symbol
_atom_site_fract_x
_atom_site_fract_y
_atom_site_fract_z
Li1 Li 0.000 0.000 0.000
Li2 Li 0.000 0.000 0.500
Li3 Li 0.250 0.250 0.000
Ti1 Ti 0.000 0.335 0.000
Ti2 Ti 0.242 0.082 0.994
Ga1 Ga 0.000 0.326 0.500
Ga2 Ga 0.131 0.166 0.377
O1 O 0.009 0.254 0.254
O2 O 0.016 0.089 0.767
O3 O 0.025 0.398 0.779
O4 O 0.236 0.000 0.191
O5 O 0.239 0.000 0.787
O6 O 0.240 0.336 0.749
O7 O 0.241 0.338 0.237
```

=====

Number 1: theoretical density 8.46 g/cm³, energy of formation -0.49 eV per atom. Number 2: theoretical density 4.09 g/cm³, energy of formation -2.73 eV per atom.